{
  "formula": "NaSrNb2",
  "functional": "GGA-PBE",
  "state": "relaxed",
  "lattice_angstrom": [[0.000, 3.655, 3.655], [3.655, 0.000, 3.655], [3.655, 3.655, 0.000]],
  "species": ["Na", "Nb", "Nb", "Sr"],
  "frac_coords": [[0.000, 0.000, 0.000], [0.750, 0.750, 0.750], [0.250, 0.250, 0.250], [0.500, 0.500, 0.500]],
  "spacegroup": "No. 225",
  "magmom_total_mub_per_atom": 0.268,
  "dft_energy_ev_per_atom": -4.23,
  "ef_ev_per_atom": 1.5750
}